No. 1
Compound: Al2W3O12
Source: Materials Project
Functional: PBE with a Hubbard U
Structure: relaxed

mass density: 4783 kg/m³
corrected total energy (MP2020 scheme): -592.5 eV for the cell shown
formation energy from the elements: -2.4925 eV per atom
VASP energy: -506.22 eV per cell
calculated volume: 16.28 Å³/atom
ΔE to the lowest computed polymorph: 2.1 meV/atom

a = 9.214 Å, b = 9.313 Å, c = 12.905 Å
α = 90.00°, β = 90.06°, γ = 90.00°
Space group P2_1 (No. 4)
Unique sites:
Al  0.004  0.000  0.136
Al  0.005  0.438  0.365
Al  0.494  0.006  0.872
Al  0.495  0.439  0.628
W  0.145  0.089  0.399
W  0.147  0.350  0.102
W  0.223  0.220  0.748
W  0.272  0.720  0.749
W  0.359  0.588  0.390
W  0.360  0.856  0.109
O  0.056  0.983  0.499
O  0.064  0.403  0.222
O  0.064  0.451  0.997
O  0.069  0.040  0.276
O  0.104  0.345  0.810
O  0.116  0.158  0.087
O  0.117  0.085  0.683
O  0.117  0.282  0.414
O  0.153  0.805  0.656
O  0.159  0.624  0.841
O  0.165  0.564  0.378
O  0.165  0.876  0.119
O  0.334  0.314  0.654
O  0.335  0.136  0.847
O  0.339  0.057  0.398
O  0.341  0.386  0.106
O  0.379  0.851  0.821
O  0.388  0.598  0.679
O  0.394  0.776  0.415
O  0.396  0.669  0.083
O  0.431  0.476  0.492
O  0.431  0.970  0.007
O  0.441  0.905  0.232
O  0.444  0.540  0.269

No. 2
Compound: AlWO4
Source: Materials Project
Functional: PBE with a Hubbard U
Structure: relaxed

mass density: 7337 kg/m³
corrected total energy (MP2020 scheme): -209.2 eV for the cell shown
formation energy from the elements: -2.6320 eV per atom
VASP energy: -180.41 eV per cell
calculated volume: 10.37 Å³/atom

a = 9.251 Å, b = 5.812 Å, c = 4.631 Å
α = 90.00°, β = 92.35°, γ = 90.00°
Space group C2/m (No. 12)
Unique sites:
Al  0.240  0.000  0.010
W  0.000  0.271  0.500
O  0.097  0.000  0.300
O  0.115  0.500  0.278
O  0.152  0.255  0.805

No. 3
Compound: Na3CoBAsO7
Source: Materials Project
Functional: PBE with a Hubbard U
Structure: relaxed

mass density: 3283 kg/m³
corrected total energy (MP2020 scheme): -332.4 eV for the cell shown
formation energy from the elements: -2.0039 eV per atom
VASP energy: -306.62 eV per cell
calculated volume: 12.67 Å³/atom
ΔE to the lowest computed polymorph: 12.7 meV/atom

a = 5.256 Å, b = 9.051 Å, c = 13.856 Å
α = 89.98°, β = 89.97°, γ = 88.36°
Space group P-1 (No. 2)
Unique sites:
Na  0.233  0.420  0.128
Na  0.241  0.420  0.623
Na  0.242  0.746  0.748
Na  0.243  0.746  0.501
Na  0.254  0.754  0.254
Na  0.254  0.754  0.997
Co  0.214  0.171  0.875
Co  0.228  0.166  0.375
B  0.261  0.438  0.375
B  0.276  0.432  0.875
As  0.285  0.076  0.126
As  0.285  0.079  0.624
O  0.024  0.374  0.375
O  0.040  0.364  0.876
O  0.126  0.913  0.125
O  0.130  0.914  0.625
O  0.211  0.193  0.719
O  0.214  0.188  0.525
O  0.215  0.192  0.031
O  0.216  0.187  0.225
O  0.308  0.583  0.375
O  0.309  0.579  0.875
O  0.389  0.962  0.375
O  0.391  0.971  0.875
O  0.459  0.327  0.374
O  0.469  0.322  0.875

Question: calculated volume of number 2 (AlWO4)?
Answer: 10.37 Å³/atom

Question: Which value of calculated volume does entry 2 give?
Answer: 10.37 Å³/atom

Question: What is the formation energy from the elements in the first record?
Answer: -2.4925 eV per atom

Question: Among the records above, which one has the lowest VASP energy?
Answer: Al2W3O12